Record 1
35
Lattice="8.439 0.000 0.000 0.000 7.082 0.000 -3.867 0.000 7.566" Properties=species:S:1:pos:R:3 comment="MgGa4P6H6O18 (GGA-PBE, optimized geometry)" volume_a3_per_atom=12.919 polymorph_energy_mev_per_atom=0 pbc="T T T"
Mg 0.000 0.000 0.000
Ga 1.493 1.270 2.271
Ga 1.493 5.811 2.271
Ga 5.697 2.105 4.639
Ga 5.697 4.977 4.639
P -3.670 3.541 7.548
P -1.047 0.000 6.306
P 0.153 3.541 4.257
P 3.865 3.541 2.300
P 3.355 0.000 5.110
P 5.759 0.000 2.103
H 0.383 3.541 5.639
H 0.307 0.000 6.675
H 4.496 0.000 1.503
H 2.228 0.000 5.952
H 4.985 3.541 1.458
H 3.399 3.541 7.240
O -2.900 3.541 6.176
O -1.402 3.541 4.028
O 0.452 2.226 0.752
O 0.452 4.856 0.752
O -1.260 1.283 5.497
O -1.260 5.799 5.497
O 1.972 0.000 0.010
O 0.786 2.254 3.728
O 0.786 4.828 3.728
O 3.098 2.258 1.975
O 3.098 4.824 1.975
O 2.964 0.000 3.667
O 4.416 3.541 3.787
O 4.199 1.220 5.615
O 4.199 5.861 5.615
O 6.775 0.000 0.968
O 5.847 1.277 2.956
O 5.847 5.805 2.956


Record 2
10
Lattice="2.713 1.566 5.308 -2.713 1.566 5.308 0.000 -3.132 5.308" Properties=species:S:1:pos:R:3 comment="NaNbO3 (GGA-PBE, optimized geometry)" volume_a3_per_atom=13.529 pbc="T T T"
Na 0.000 0.000 2.257
Na 0.000 0.000 13.666
Nb 0.000 0.000 5.601
Nb 0.000 0.000 10.322
O -1.695 -0.300 6.455
O -0.588 -1.618 9.468
O 1.107 -1.318 6.455
O -1.107 1.318 9.468
O 0.588 1.618 6.455
O 1.695 0.300 9.468


Record 3
32
Lattice="8.061 0.000 0.000 0.000 8.061 0.000 0.000 0.000 8.061" Properties=species:S:1:pos:R:3 comment="CsBe2F5 (GGA-PBE, optimized geometry)" volume_a3_per_atom=16.368 piezo_max_c_m2=0.0 pbc="T T T"
Cs 1.008 3.023 5.038
Cs 3.023 5.038 1.008
Cs 5.038 1.008 3.023
Cs 7.053 7.053 7.053
Be 0.804 7.257 3.227
Be 1.211 1.211 1.211
Be 2.819 6.850 5.242
Be 3.227 0.804 7.257
Be 4.834 4.834 4.834
Be 5.242 2.819 6.850
Be 6.850 5.242 2.819
Be 7.257 3.227 0.804
F 0.060 4.090 8.001
F 0.268 5.777 3.023
F 1.008 7.792 1.747
F 1.747 1.008 7.792
F 1.955 5.986 6.106
F 2.075 2.075 2.075
F 2.284 7.053 3.762
F 3.023 0.268 5.777
F 3.762 2.284 7.053
F 3.970 3.970 3.970
F 4.090 8.001 0.060
F 4.299 6.314 5.038
F 5.038 4.299 6.314
F 5.777 3.023 0.268
F 5.986 6.106 1.955
F 6.106 1.955 5.986
F 6.314 5.038 4.299
F 7.053 3.762 2.284
F 7.792 1.747 1.008
F 8.001 0.060 4.090


Record 4
9
Lattice="-2.030 2.030 9.863 2.030 -2.030 9.863 2.030 2.030 -9.863" Properties=species:S:1:pos:R:3 comment="Sr2Ti2As2OF2 (GGA-PBE, optimized geometry)" volume_a3_per_atom=18.062 pbc="T T T"
Sr 0.000 0.000 3.486
Sr 0.000 0.000 16.240
Ti 2.030 0.000 0.000
Ti 0.000 2.030 0.000
As 0.000 0.000 8.058
As 0.000 0.000 11.668
O 0.000 0.000 0.000
F 2.030 0.000 4.931
F 0.000 2.030 4.931


Record 5
5
Lattice="4.335 0.000 0.000 0.000 4.335 0.000 0.000 0.000 4.335" Properties=species:S:1:pos:R:3 comment="RbBiO3 (GGA-PBE, optimized geometry)" volume_a3_per_atom=16.295 pbc="T T T"
Rb 0.000 0.000 0.000
Bi 2.168 2.168 2.168
O 0.000 2.168 2.168
O 2.168 0.000 2.168
O 2.168 2.168 0.000


Record 6
12
Lattice="5.533 0.000 0.000 0.000 4.813 0.000 -2.636 0.000 4.927" Properties=species:S:1:pos:R:3 comment="TcO2 (GGA-PBE, optimized geometry)" volume_a3_per_atom=10.935 polymorph_energy_mev_per_atom=0 pbc="T T T"
Tc 0.720 0.023 1.083
Tc -0.599 2.383 3.547
Tc 3.495 2.430 1.380
Tc 2.177 4.790 3.844
O -0.397 3.432 1.854
O -1.715 3.788 4.317
O 0.635 0.921 2.891
O 1.953 1.486 0.428
O 0.943 3.327 4.500
O 2.261 3.893 2.036
O 4.612 1.026 0.610
O 3.294 1.381 3.074


Record 7
248
Lattice="0.000 11.251 11.251 11.251 0.000 11.251 11.251 11.251 0.000" Properties=species:S:1:pos:R:3 comment="CrCuH18N6Cl5 (GGA-PBE, optimized geometry)" volume_a3_per_atom=11.484 pbc="T T T"
Cr 0.000 0.000 0.000
Cr 5.625 5.625 0.000
Cr 5.625 0.000 5.625
Cr 11.251 5.625 5.625
Cr 0.000 5.625 5.625
Cr 5.625 11.251 5.625
Cr 5.625 5.625 11.251
Cr 11.251 11.251 11.251
Cu 5.625 5.625 5.625
Cu 11.251 11.251 5.625
Cu 11.251 5.625 11.251
Cu 16.876 11.251 11.251
Cu 5.625 11.251 11.251
Cu 11.251 16.876 11.251
Cu 11.251 11.251 16.876
Cu 16.876 16.876 16.876
H 7.758 6.943 0.833
H 16.043 9.118 6.943
H 9.933 0.833 9.118
H 10.429 9.343 1.631
H 7.533 1.631 6.447
H 15.244 6.447 9.343
H 9.343 6.447 3.994
H 12.882 7.533 6.447
H 10.429 3.994 7.533
H 5.713 4.472 2.438
H 14.438 11.163 4.472
H 12.404 2.438 11.163
H 16.788 10.098 8.064
H 20.063 11.339 10.098
H 18.029 8.064 11.339
H 9.118 9.933 0.833
H 6.943 0.833 7.758
H 16.043 7.758 9.933
H 9.933 7.758 4.793
H 9.118 4.793 6.943
H 12.083 6.943 7.758
H 6.447 7.533 1.631
H 15.244 10.429 7.533
H 9.343 1.631 10.429
H 8.812 6.778 5.537
H 11.339 8.064 6.778
H 10.098 5.537 8.064
H 11.163 12.404 2.438
H 4.472 2.438 5.713
H 14.438 5.713 12.404
H 14.743 12.568 6.458
H 21.669 13.384 12.568
H 15.558 6.458 13.384
H 16.055 13.159 7.257
H 14.968 7.257 12.072
H 20.870 12.072 13.159
H 7.533 10.429 3.994
H 6.447 3.994 9.343
H 12.882 9.343 10.429
H 6.943 9.118 4.793
H 12.083 9.933 9.118
H 7.758 4.793 9.933
H 8.064 10.098 5.537
H 6.778 5.537 8.812
H 11.339 8.812 10.098
H 2.438 5.713 4.472
H 12.404 14.438 5.713
H 11.163 4.472 14.438
H 13.159 12.072 9.619
H 18.507 14.968 12.072
H 16.055 9.619 14.968
H 13.384 15.558 6.458
H 12.568 6.458 14.743
H 21.669 14.743 15.558
H 15.558 14.743 10.418
H 13.384 10.418 12.568
H 17.709 12.568 14.743
H 13.689 12.404 11.163
H 16.964 14.438 12.404
H 15.723 11.163 14.438
H 5.537 8.812 6.778
H 10.098 11.339 8.812
H 8.064 6.778 11.339
H 12.072 14.968 7.257
H 20.870 16.055 14.968
H 13.159 7.257 16.055
H 14.968 16.055 9.619
H 12.072 9.619 13.159
H 18.507 13.159 16.055
H 12.568 13.384 10.418
H 17.709 15.558 13.384
H 14.743 10.418 15.558
H 7.758 12.083 6.943
H 4.793 6.943 9.118
H 9.933 9.118 12.083
H 3.994 9.343 6.447
H 10.429 12.882 9.343
H 7.533 6.447 12.882
H 9.343 15.244 6.447
H 1.631 6.447 7.533
H 10.429 7.533 15.244
H 14.438 15.723 11.163
H 12.404 11.163 13.689
H 16.964 13.689 15.723
H 6.778 11.339 8.064
H 5.537 8.064 10.098
H 8.812 10.098 11.339
H 4.793 9.933 7.758
H 9.118 12.083 9.933
H 6.943 7.758 12.083
H 0.833 7.758 6.943
H 9.933 16.043 7.758
H 9.118 6.943 16.043
H 6.447 12.882 7.533
H 3.994 7.533 10.429
H 9.343 10.429 12.882
H 11.339 18.029 8.064
H 10.098 8.064 16.788
H 20.063 16.788 18.029
H 11.163 13.689 12.404
H 15.723 16.964 13.689
H 14.438 12.404 16.964
H 14.743 17.709 12.568
H 10.418 12.568 13.384
H 15.558 13.384 17.709
H 9.619 13.159 12.072
H 16.055 18.507 13.159
H 14.968 12.072 18.507
H 1.631 10.429 9.343
H 7.533 15.244 10.429
H 6.447 9.343 15.244
H 6.943 16.043 9.118
H 0.833 9.118 9.933
H 7.758 9.933 16.043
H 8.064 16.788 10.098
H 18.029 20.063 16.788
H 11.339 10.098 20.063
H 12.404 16.964 14.438
H 11.163 14.438 15.723
H 13.689 15.723 16.964
H 13.159 20.870 12.072
H 7.257 12.072 14.968
H 16.055 14.968 20.870
H 10.418 15.558 14.743
H 13.384 17.709 15.558
H 12.568 14.743 17.709
H 6.458 14.743 12.568
H 15.558 21.669 14.743
H 13.384 12.568 21.669
H 4.472 14.438 11.163
H 2.438 11.163 12.404
H 5.713 12.404 14.438
H 10.098 20.063 11.339
H 8.064 11.339 18.029
H 16.788 18.029 20.063
H 12.072 18.507 14.968
H 9.619 14.968 16.055
H 13.159 16.055 18.507
H 7.257 16.055 13.159
H 14.968 20.870 16.055
H 12.072 13.159 20.870
H 12.568 21.669 13.384
H 6.458 13.384 15.558
H 14.743 15.558 21.669
N 10.100 9.643 0.702
N 7.233 0.702 6.776
N 16.174 6.776 9.643
N 6.776 7.233 0.702
N 16.174 10.100 7.233
N 9.643 0.702 10.100
N 9.643 6.776 4.923
N 11.953 7.233 6.776
N 10.100 4.923 7.233
N 15.725 12.859 6.327
N 15.268 6.327 12.402
N 21.799 12.402 12.859
N 7.233 10.100 4.923
N 6.776 4.923 9.643
N 11.953 9.643 10.100
N 12.402 15.268 6.327
N 21.799 15.725 15.268
N 12.859 6.327 15.725
N 12.859 12.402 10.548
N 17.578 15.268 12.402
N 15.725 10.548 15.268
N 15.268 15.725 10.548
N 12.402 10.548 12.859
N 17.578 12.859 15.725
N 4.923 9.643 6.776
N 10.100 11.953 9.643
N 7.233 6.776 11.953
N 6.776 11.953 7.233
N 4.923 7.233 10.100
N 9.643 10.100 11.953
N 9.643 16.174 6.776
N 0.702 6.776 7.233
N 10.100 7.233 16.174
N 10.548 12.859 12.402
N 15.725 17.578 12.859
N 15.268 12.402 17.578
N 0.702 10.100 9.643
N 7.233 16.174 10.100
N 6.776 9.643 16.174
N 12.402 17.578 15.268
N 10.548 15.268 15.725
N 12.859 15.725 17.578
N 12.859 21.799 12.402
N 6.327 12.402 15.268
N 15.725 15.268 21.799
N 6.327 15.725 12.859
N 15.268 21.799 15.725
N 12.402 12.859 21.799
Cl 18.202 9.924 9.924
Cl 11.251 9.522 3.897
Cl 7.354 3.897 5.625
Cl 12.979 5.625 9.522
Cl 4.299 4.299 4.299
Cl 12.577 12.577 4.299
Cl 12.577 4.299 12.577
Cl 5.625 7.354 3.897
Cl 12.979 11.251 7.354
Cl 16.876 12.979 9.522
Cl 9.522 3.897 11.251
Cl 15.148 9.522 11.251
Cl 18.604 11.251 12.979
Cl 6.952 6.952 6.952
Cl 9.924 9.924 6.952
Cl 9.924 6.952 9.924
Cl 9.522 12.979 5.625
Cl 3.897 5.625 7.354
Cl 11.251 7.354 12.979
Cl 15.550 12.577 12.577
Cl 6.952 9.924 9.924
Cl 11.251 15.148 9.522
Cl 18.604 16.876 15.148
Cl 12.979 9.522 16.876
Cl 12.577 15.550 12.577
Cl 12.577 12.577 15.550
Cl 15.550 15.550 15.550
Cl 3.897 11.251 9.522
Cl 7.354 12.979 11.251
Cl 12.979 18.604 11.251
Cl 5.625 9.522 12.979
Cl 9.522 11.251 15.148
Cl 16.876 15.148 18.604
Cl 9.924 18.202 9.924
Cl 9.924 9.924 18.202
Cl 18.202 18.202 18.202
Cl 9.522 16.876 12.979
Cl 15.148 18.604 16.876
Cl 11.251 12.979 18.604
Cl 4.299 12.577 12.577


Record 8
12
Lattice="6.989 0.000 0.000 1.466 7.875 0.000 1.632 1.599 7.780" Properties=species:S:1:pos:R:3 comment="WSCl4 (GGA-PBE, optimized geometry)" volume_a3_per_atom=35.681 polymorph_energy_mev_per_atom=4 pbc="T T T"
W 1.672 2.274 1.540
W 8.416 7.200 6.240
S 2.811 0.537 1.862
S 7.277 8.937 5.918
Cl 2.040 6.513 4.132
Cl 3.576 8.010 6.456
Cl 3.297 4.083 7.008
Cl 3.239 3.955 1.567
Cl 6.849 5.519 6.213
Cl 6.790 5.391 0.772
Cl 6.512 1.464 1.324
Cl 8.047 2.961 3.648


Record 9
8
Lattice="2.991 0.000 0.000 0.000 2.991 0.000 0.000 0.000 22.720" Properties=species:S:1:pos:R:3 comment="Nd2Cu3Sn3 (GGA-PBE, optimized geometry)" volume_a3_per_atom=25.413 pbc="T T T"
Nd 0.000 0.000 5.523
Nd 0.000 0.000 17.197
Cu 0.000 0.000 2.675
Cu 0.000 0.000 11.360
Cu 0.000 0.000 20.045
Sn 0.000 0.000 0.000
Sn 0.000 0.000 8.823
Sn 0.000 0.000 13.897


Energy relative to the elements for every record listed, in sequence, given in eV/atom: -2.005; -2.846; -3.471; -2.549; -1.448; -1.883; -0.658; -1.289; 0.572.